(1)
# CaSiO3 | Materials Project | r²SCAN | optimized geometry
# * volume: 66.4 Å³/f.u.
# * formation enthalpy at 0 K: -3286 meV/atom
data_CaSiO3
_cell_length_a 7.084
_cell_length_b 7.325
_cell_length_c 15.435
_cell_angle_alpha 90.00
_cell_angle_beta 95.46
_cell_angle_gamma 90.00
_symmetry_space_group_name_H-M 'P 1 21/c 1'
_symmetry_Int_Tables_number 14
loop_
_symmetry_equiv_pos_as_xyz
'x,y,z'
'-x,-y,-z'
'-x,y+1/2,-z+1/2'
'x,-y+1/2,z+1/2'
loop_
_atom_site_label
_atom_site_type_symbol
_atom_site_fract_x
_atom_site_fract_y
_atom_site_fract_z
Ca1 Ca 0.029 0.124 0.253
Ca2 Ca 0.261 0.627 0.600
Ca3 Ca 0.264 0.121 0.602
Si1 Si 0.231 0.159 0.908
Si2 Si 0.231 0.592 0.908
Si3 Si 0.443 0.624 0.302
O1 O 0.035 0.639 0.849
O2 O 0.036 0.113 0.848
O3 O 0.234 0.122 0.009
O4 O 0.237 0.628 0.010
O5 O 0.273 0.124 0.390
O6 O 0.299 0.624 0.214
O7 O 0.330 0.125 0.201
O8 O 0.406 0.697 0.864
O9 O 0.407 0.055 0.864

(2)
# Zr5Sn3B | Materials Project | r²SCAN | optimized geometry
# * volume: 184.9 Å³/f.u.
# * formation enthalpy at 0 K: -748 meV/atom
data_Zr5Sn3B
_cell_length_a 8.5511
_cell_length_b 8.5511
_cell_length_c 5.8392
_cell_angle_alpha 90.00
_cell_angle_beta 90.00
_cell_angle_gamma 120.00
_symmetry_space_group_name_H-M 'P 63/m c m'
_symmetry_Int_Tables_number 193
_symmetry_space_group_name_Hall '-P 6c 2'
loop_
_atom_site_label
_atom_site_type_symbol
_atom_site_fract_x
_atom_site_fract_y
_atom_site_fract_z
Zr1 Zr 0.0000 0.2286 0.2500
Zr2 Zr 0.3333 0.6667 0.0000
Sn1 Sn 0.0000 0.3989 0.7500
B1 B 0.0000 0.0000 0.0000

(3)
# VF5 | Materials Project | r²SCAN | optimized geometry
# * volume: 80.4 Å³/f.u.
# * formation enthalpy at 0 K: -2841 meV/atom
data_VF5
_cell_length_a 7.403
_cell_length_b 5.398
_cell_length_c 16.087
_cell_angle_alpha 90.00
_cell_angle_beta 90.00
_cell_angle_gamma 90.00
_symmetry_space_group_name_H-M 'P n m a'
_symmetry_Int_Tables_number 62
loop_
_symmetry_equiv_pos_as_xyz
'x,y,z'
'-x,-y,-z'
'-x+1/2,-y,z+1/2'
'x+1/2,y,-z+1/2'
'x+1/2,-y+1/2,-z+1/2'
'-x+1/2,y+1/2,z+1/2'
'-x,y+1/2,-z'
'x,-y+1/2,z'
loop_
_atom_site_label
_atom_site_type_symbol
_atom_site_fract_x
_atom_site_fract_y
_atom_site_fract_z
V1 V 0.042 0.250 0.141
V2 V 0.106 0.250 0.620
F1 F 0.021 0.250 0.721
F2 F 0.024 0.250 0.249
F3 F 0.028 0.514 0.417
F4 F 0.107 0.514 0.877
F5 F 0.144 0.250 0.044
F6 F 0.229 0.501 0.166
F7 F 0.242 0.750 0.037